# 1
Entry from Materials Project: an optimized crystal structure of Na7Hf2In2Si3P3O24 (PBE).

Summary:
Energy = -6.99 eV/atom
Theoretical density = 3.95 g/cm³

abc: 9.181 9.189 22.594
angles: 90.09 90.14 119.93
Fractional positions:
Na  0.000  0.000  0.000
Na  0.001  0.631  0.503
Na  0.255  0.253  0.507
Na  0.264  0.632  0.006
Na  0.289  0.590  0.335
Na  0.295  0.318  0.835
Na  0.298  0.955  0.588
Na  0.309  0.971  0.087
Na  0.599  0.288  0.670
Na  0.602  0.936  0.166
Na  0.622  0.612  0.253
Na  0.631  0.626  0.753
Na  0.632  0.249  0.003
Na  0.642  0.000  0.505
Na  0.665  0.968  0.838
Na  0.675  0.334  0.333
Na  0.929  0.957  0.338
Na  0.956  0.295  0.919
Na  0.965  0.295  0.420
Na  0.965  0.648  0.172
Na  0.971  0.940  0.670
Hf  0.296  0.962  0.235
Hf  0.298  0.961  0.737
Hf  0.625  0.625  0.107
Hf  0.630  0.631  0.607
Hf  0.640  0.633  0.899
Hf  0.966  0.294  0.770
In  0.293  0.958  0.437
In  0.303  0.963  0.935
In  0.637  0.632  0.403
In  0.962  0.294  0.072
In  0.965  0.290  0.574
In  0.969  0.301  0.266
Si  0.000  0.660  0.338
Si  0.003  0.962  0.837
Si  0.265  0.593  0.170
Si  0.266  0.295  0.670
Si  0.598  0.259  0.838
Si  0.632  0.925  0.003
Si  0.663  0.294  0.170
Si  0.665  0.997  0.669
Si  0.929  0.927  0.503
P  0.296  0.664  0.839
P  0.297  0.255  0.338
P  0.339  0.627  0.502
P  0.340  0.338  0.002
P  0.592  0.962  0.337
P  0.633  0.334  0.503
P  0.924  0.629  0.004
P  0.966  0.997  0.169
P  0.967  0.589  0.668
O  0.094  0.936  0.780
O  0.097  0.791  0.000
O  0.098  0.784  0.281
O  0.113  0.738  0.398
O  0.115  0.940  0.504
O  0.116  0.002  0.898
O  0.116  0.769  0.678
O  0.118  0.969  0.177
O  0.134  0.266  0.331
O  0.146  0.518  0.111
O  0.147  0.485  0.829
O  0.153  0.254  0.610
O  0.160  0.476  0.509
O  0.166  0.326  0.006
O  0.173  0.322  0.727
O  0.193  0.485  0.230
O  0.265  0.729  0.897
O  0.273  0.158  0.397
O  0.280  0.123  0.678
O  0.282  0.782  0.177
O  0.322  0.161  0.286
O  0.324  0.162  0.001
O  0.327  0.786  0.787
O  0.336  0.795  0.502
O  0.408  0.594  0.444
O  0.427  0.443  0.946
O  0.455  0.430  0.056
O  0.456  0.433  0.339
O  0.456  0.644  0.555
O  0.459  0.454  0.665
O  0.459  0.630  0.164
O  0.459  0.649  0.842
O  0.459  0.936  0.002
O  0.471  0.163  0.781
O  0.474  0.156  0.501
O  0.478  0.126  0.178
O  0.480  0.945  0.283
O  0.480  0.975  0.679
O  0.520  0.995  0.394
O  0.531  0.145  0.897
O  0.595  0.794  0.338
O  0.599  0.439  0.842
O  0.609  0.424  0.557
O  0.613  0.808  0.061
O  0.652  0.826  0.945
O  0.656  0.434  0.446
O  0.657  0.468  0.162
O  0.663  0.816  0.664
O  0.732  0.112  0.610
O  0.735  0.245  0.111
O  0.772  0.113  0.331
O  0.780  0.335  0.229
O  0.784  0.280  0.827
O  0.793  0.092  0.725
O  0.795  0.322  0.508
O  0.803  0.602  0.664
O  0.806  0.109  0.005
O  0.809  0.607  0.950
O  0.809  0.817  0.162
O  0.810  0.800  0.841
O  0.814  0.648  0.337
O  0.817  0.851  0.443
O  0.830  0.803  0.560
O  0.838  0.648  0.060
O  0.927  0.070  0.225
O  0.938  0.469  0.719
O  0.940  0.469  0.005
O  0.949  0.115  0.507
O  0.980  0.473  0.334
O  0.985  0.132  0.830
O  0.996  0.522  0.609
O  0.998  0.101  0.113

---

# 2
Entry from Materials Project: an optimized crystal structure of Na2Hf4In4Si3S9O48 (PBE).

Summary:
Energy = -6.89 eV/atom
Theoretical density = 3.65 g/cm³

abc: 8.907 15.480 23.384
angles: 89.67 89.84 89.97
Fractional positions:
Na  0.000  0.000  0.000
Na  0.001  0.000  0.486
Na  0.027  0.333  0.658
Na  0.493  0.831  0.163
Na  0.512  0.510  0.493
Na  0.515  0.504  0.988
Hf  0.002  0.323  0.015
Hf  0.007  0.990  0.839
Hf  0.009  0.990  0.343
Hf  0.013  0.665  0.182
Hf  0.506  0.495  0.343
Hf  0.507  0.163  0.680
Hf  0.510  0.492  0.841
Hf  0.513  0.815  0.512
Hf  0.521  0.821  0.803
Hf  0.523  0.164  0.181
Hf  0.996  0.321  0.304
Hf  0.999  0.664  0.677
In  0.000  0.663  0.967
In  0.004  0.658  0.469
In  0.004  0.991  0.638
In  0.005  0.323  0.506
In  0.010  0.997  0.140
In  0.022  0.328  0.805
In  0.486  0.825  0.308
In  0.506  0.496  0.638
In  0.512  0.490  0.142
In  0.513  0.822  0.007
In  0.518  0.157  0.973
In  0.518  0.161  0.466
Si  0.162  0.853  0.237
Si  0.358  0.677  0.408
Si  0.360  0.351  0.738
Si  0.651  0.677  0.909
Si  0.653  0.351  0.240
Si  0.719  0.654  0.571
Si  0.801  0.152  0.072
Si  0.865  0.848  0.738
Si  0.867  0.177  0.409
S  0.150  0.509  0.573
S  0.155  0.808  0.573
S  0.156  0.140  0.241
S  0.157  0.180  0.909
S  0.158  0.471  0.909
S  0.216  0.493  0.240
S  0.219  0.831  0.907
S  0.220  0.159  0.575
S  0.298  0.329  0.407
S  0.298  0.658  0.074
S  0.301  0.993  0.740
S  0.360  0.973  0.409
S  0.361  0.640  0.741
S  0.364  0.307  0.072
S  0.366  0.011  0.072
S  0.654  0.016  0.573
S  0.654  0.640  0.238
S  0.655  0.304  0.574
S  0.655  0.973  0.905
S  0.714  0.991  0.241
S  0.722  0.327  0.906
S  0.794  0.830  0.405
S  0.803  0.492  0.740
S  0.861  0.471  0.405
S  0.861  0.515  0.072
S  0.863  0.804  0.074
S  0.864  0.140  0.739
O  0.074  0.421  0.571
O  0.078  0.110  0.189
O  0.081  0.756  0.228
O  0.083  0.093  0.904
O  0.086  0.224  0.959
O  0.087  0.770  0.522
O  0.088  0.436  0.857
O  0.088  0.898  0.293
O  0.092  0.898  0.578
O  0.094  0.554  0.625
O  0.100  0.559  0.917
O  0.103  0.228  0.253
O  0.117  0.909  0.898
O  0.118  0.570  0.231
O  0.121  0.558  0.521
O  0.122  0.081  0.581
O  0.123  0.418  0.253
O  0.126  0.082  0.290
O  0.126  0.755  0.625
O  0.127  0.414  0.959
O  0.127  0.753  0.913
O  0.130  0.239  0.575
O  0.130  0.907  0.179
O  0.133  0.230  0.857
O  0.179  0.333  0.743
O  0.182  0.665  0.419
O  0.191  0.976  0.402
O  0.195  0.662  0.125
O  0.197  0.315  0.063
O  0.198  0.643  0.732
O  0.199  0.012  0.790
O  0.201  0.322  0.357
O  0.201  0.998  0.075
O  0.210  0.648  0.021
O  0.213  0.977  0.689
O  0.214  0.349  0.460
O  0.301  0.477  0.187
O  0.304  0.851  0.959
O  0.308  0.149  0.522
O  0.315  0.497  0.577
O  0.315  0.824  0.856
O  0.317  0.513  0.289
O  0.319  0.169  0.918
O  0.320  0.143  0.231
O  0.320  0.817  0.567
O  0.321  0.163  0.626
O  0.325  0.475  0.902
O  0.342  0.839  0.239
O  0.386  0.729  0.350
O  0.387  0.249  0.413
O  0.387  0.739  0.074
O  0.388  0.409  0.682
O  0.390  0.253  0.123
O  0.390  0.917  0.459
O  0.391  0.060  0.018
O  0.393  0.582  0.791
O  0.393  0.918  0.754
O  0.396  0.580  0.080
O  0.397  0.070  0.732
O  0.401  0.405  0.398
O  0.413  0.062  0.417
O  0.415  0.728  0.753
O  0.425  0.056  0.122
O  0.425  0.396  0.077
O  0.430  0.269  0.019
O  0.430  0.940  0.356
O  0.432  0.395  0.795
O  0.439  0.726  0.464
O  0.440  0.255  0.727
O  0.440  0.609  0.690
O  0.441  0.581  0.402
O  0.444  0.924  0.068
O  0.569  0.712  0.967
O  0.573  0.256  0.231
O  0.575  0.401  0.293
O  0.576  0.581  0.897
O  0.581  0.606  0.186
O  0.583  0.059  0.907
O  0.583  0.931  0.566
O  0.587  0.389  0.579
O  0.591  0.927  0.856
O  0.595  0.058  0.625
O  0.595  0.264  0.522
O  0.604  0.730  0.245
O  0.607  0.571  0.578
O  0.607  0.738  0.854
O  0.615  0.068  0.234
O  0.617  0.248  0.625
O  0.621  0.913  0.250
O  0.622  0.253  0.914
O  0.622  0.586  0.288
O  0.623  0.744  0.565
O  0.626  0.070  0.522
O  0.631  0.408  0.901
O  0.640  0.404  0.180
O  0.641  0.923  0.959
O  0.687  0.171  0.411
O  0.687  0.837  0.753
O  0.691  0.167  0.128
O  0.695  0.479  0.395
O  0.695  0.810  0.073
O  0.696  0.504  0.075
O  0.697  0.845  0.457
O  0.699  0.141  0.731
O  0.705  0.507  0.791
O  0.705  0.823  0.353
O  0.712  0.137  0.013
O  0.713  0.479  0.688
O  0.800  0.978  0.188
O  0.814  0.007  0.291
O  0.814  0.315  0.854
O  0.817  0.639  0.514
O  0.821  0.640  0.229
O  0.822  0.008  0.576
O  0.822  0.309  0.573
O  0.822  0.339  0.957
O  0.822  0.986  0.895
O  0.827  0.666  0.628
O  0.831  0.338  0.252
O  0.832  0.670  0.911
O  0.877  0.421  0.459
O  0.880  0.908  0.683
O  0.891  0.567  0.021
O  0.891  0.755  0.412
O  0.891  0.910  0.401
O  0.895  0.414  0.749
O  0.896  0.085  0.790
O  0.901  0.242  0.062
O  0.901  0.748  0.125
O  0.902  0.568  0.733
O  0.911  0.238  0.354
O  0.915  0.071  0.079
O  0.919  0.228  0.748
O  0.924  0.554  0.124
O  0.924  0.765  0.022
O  0.928  0.556  0.406
O  0.929  0.424  0.356
O  0.930  0.890  0.079
O  0.932  0.428  0.064
O  0.940  0.106  0.688
O  0.941  0.897  0.794
O  0.943  0.081  0.397
O  0.945  0.754  0.731
O  0.948  0.212  0.467

---

# 3
Entry from Materials Project: an optimized crystal structure of NaHfInSiS2O12 (PBE).

Summary:
Energy = -6.89 eV/atom
Theoretical density = 3.70 g/cm³

abc: 8.942 8.942 23.456
angles: 90.47 90.47 59.58
Fractional positions:
Na  0.003  0.997  0.500
Na  0.301  0.342  0.834
Na  0.342  0.301  0.334
Na  0.646  0.677  0.166
Na  0.677  0.646  0.666
Na  0.997  0.003  0.000
Hf  0.309  0.314  0.983
Hf  0.314  0.309  0.483
Hf  0.650  0.675  0.315
Hf  0.675  0.650  0.815
Hf  0.988  0.989  0.150
Hf  0.989  0.988  0.650
In  0.298  0.340  0.688
In  0.340  0.298  0.188
In  0.653  0.656  0.520
In  0.656  0.653  0.020
In  0.990  0.993  0.354
In  0.993  0.990  0.854
Si  0.020  0.325  0.586
Si  0.325  0.020  0.086
Si  0.359  0.945  0.421
Si  0.700  0.993  0.254
Si  0.945  0.359  0.921
Si  0.993  0.700  0.754
S  0.036  0.612  0.088
S  0.283  0.693  0.252
S  0.285  0.987  0.753
S  0.323  0.614  0.587
S  0.365  0.652  0.919
S  0.612  0.036  0.588
S  0.614  0.323  0.087
S  0.652  0.365  0.419
S  0.655  0.950  0.920
S  0.693  0.283  0.752
S  0.950  0.655  0.420
S  0.987  0.285  0.253
O  0.008  0.147  0.593
O  0.014  0.787  0.812
O  0.020  0.787  0.092
O  0.022  0.180  0.304
O  0.102  0.355  0.643
O  0.117  0.512  0.140
O  0.126  0.496  0.425
O  0.133  0.316  0.246
O  0.136  0.349  0.926
O  0.144  0.530  0.036
O  0.147  0.008  0.093
O  0.147  0.296  0.530
O  0.160  0.787  0.593
O  0.163  0.507  0.752
O  0.166  0.973  0.414
O  0.180  0.022  0.804
O  0.185  0.769  0.304
O  0.189  0.804  0.915
O  0.196  0.967  0.701
O  0.201  0.807  0.201
O  0.296  0.147  0.030
O  0.299  0.523  0.243
O  0.299  0.530  0.535
O  0.316  0.133  0.746
O  0.349  0.136  0.426
O  0.354  0.510  0.638
O  0.355  0.102  0.143
O  0.356  0.491  0.925
O  0.438  0.682  0.972
O  0.444  0.836  0.478
O  0.453  0.823  0.759
O  0.460  0.673  0.258
O  0.471  0.633  0.868
O  0.471  0.641  0.582
O  0.482  0.852  0.364
O  0.491  0.356  0.425
O  0.496  0.126  0.925
O  0.496  0.828  0.079
O  0.507  0.163  0.252
O  0.510  0.354  0.138
O  0.512  0.117  0.640
O  0.523  0.299  0.743
O  0.530  0.144  0.536
O  0.530  0.299  0.035
O  0.625  0.868  0.868
O  0.633  0.471  0.368
O  0.634  0.862  0.582
O  0.641  0.471  0.082
O  0.673  0.460  0.758
O  0.679  0.849  0.971
O  0.682  0.438  0.472
O  0.685  0.813  0.259
O  0.769  0.185  0.804
O  0.787  0.014  0.312
O  0.787  0.020  0.592
O  0.787  0.160  0.093
O  0.804  0.189  0.415
O  0.806  0.970  0.914
O  0.807  0.201  0.701
O  0.813  0.685  0.759
O  0.820  0.966  0.197
O  0.823  0.453  0.259
O  0.828  0.496  0.579
O  0.836  0.444  0.978
O  0.849  0.679  0.471
O  0.852  0.482  0.864
O  0.862  0.634  0.082
O  0.868  0.625  0.368
O  0.966  0.820  0.697
O  0.967  0.196  0.201
O  0.970  0.806  0.414
O  0.973  0.166  0.914

---

> What is the formula in the second record?

Na2Hf4In4Si3S9O48

---

> Look up the theoretical density of the first one.

3.95 g/cm³